# SrMg6CdO8 PBE optimized geometry
# ΔE_f   -42.7 eV/f.u.
# E   -88.960 eV/cell
# Size of the total moment   0.000 μB/atom
data_SrMg6CdO8
_chemical_formula_sum 'Sr1 Mg6 Cd1 O8'
_cell_length_a 4.550
_cell_length_b 4.550
_cell_length_c 8.912
_cell_angle_alpha 90.00
_cell_angle_beta 90.00
_cell_angle_gamma 90.00
_symmetry_space_group_name_H-M 'P 4/m m m'
_symmetry_Int_Tables_number 123
_symmetry_space_group_name_Hall '-P 4 2'
loop_
_atom_site_label
_atom_site_type_symbol
_atom_site_fract_x
_atom_site_fract_y
_atom_site_fract_z
Sr1 Sr 0.000 0.000 0.000
Mg1 Mg 0.000 0.000 0.500
Mg2 Mg 0.000 0.500 0.268
Mg3 Mg 0.500 0.500 0.500
Cd1 Cd 0.500 0.500 0.000
O1 O 0.000 0.000 0.274
O2 O 0.000 0.500 0.000
O3 O 0.000 0.500 0.500
O4 O 0.500 0.500 0.269